A plane-wave DFT calculation with GGA+U was carried out for Li4V3P4O15 after structural relaxation.

Values from the calculation:
M_tot   36.00 μB per cell
Energy of formation   -2.606 eV/atom

POSCAR file:
```
Li4V3P4O15
1.0
6.655 0.000 0.000
0.000 10.681 0.000
0.000 0.000 17.448
Li V P O
16 12 16 60
Direct
0.822 0.518 0.004
0.697 0.952 0.034
0.425 0.178 0.094
0.854 0.756 0.207
0.354 0.256 0.293
0.925 0.678 0.406
0.197 0.452 0.466
0.322 0.018 0.496
0.822 0.982 0.504
0.697 0.548 0.534
0.425 0.322 0.594
0.854 0.744 0.707
0.354 0.244 0.793
0.925 0.822 0.906
0.197 0.048 0.966
0.322 0.482 0.996
0.089 0.508 0.135
0.099 0.002 0.167
0.821 0.260 0.246
0.321 0.760 0.254
0.599 0.502 0.333
0.589 0.008 0.365
0.089 0.992 0.635
0.099 0.498 0.667
0.821 0.240 0.746
0.321 0.740 0.754
0.599 0.998 0.833
0.589 0.492 0.865
0.142 0.773 0.050
0.969 0.243 0.060
0.584 0.516 0.170
0.596 0.996 0.203
0.096 0.496 0.297
0.084 0.016 0.330
0.469 0.743 0.440
0.642 0.273 0.450
0.142 0.727 0.550
0.969 0.257 0.560
0.584 0.984 0.670
0.596 0.504 0.703
0.096 0.004 0.797
0.084 0.484 0.830
0.469 0.757 0.940
0.642 0.227 0.950
0.008 0.866 0.007
0.371 0.803 0.021
0.099 0.634 0.034
0.061 0.372 0.045
0.132 0.141 0.073
0.805 0.239 0.121
0.403 0.500 0.117
0.146 0.803 0.136
0.775 0.538 0.123
0.417 0.017 0.149
0.781 0.964 0.152
0.595 0.400 0.226
0.567 0.630 0.229
0.068 0.387 0.238
0.111 0.614 0.244
0.611 0.114 0.256
0.568 0.887 0.262
0.067 0.130 0.271
0.095 0.900 0.274
0.281 0.464 0.348
0.917 0.517 0.351
0.275 0.038 0.377
0.646 0.303 0.364
0.903 0.000 0.383
0.305 0.739 0.379
0.632 0.641 0.427
0.561 0.872 0.455
0.599 0.134 0.466
0.871 0.303 0.479
0.508 0.366 0.493
0.008 0.634 0.507
0.371 0.697 0.521
0.099 0.866 0.534
0.061 0.128 0.545
0.132 0.359 0.573
0.805 0.261 0.621
0.403 0.000 0.617
0.146 0.697 0.636
0.775 0.962 0.623
0.417 0.483 0.649
0.781 0.536 0.652
0.595 0.100 0.726
0.567 0.870 0.729
0.068 0.113 0.738
0.111 0.886 0.744
0.611 0.386 0.756
0.568 0.613 0.762
0.067 0.370 0.771
0.095 0.600 0.774
0.281 0.036 0.848
0.917 0.983 0.851
0.275 0.462 0.877
0.646 0.197 0.864
0.903 0.500 0.883
0.305 0.761 0.879
0.632 0.859 0.927
0.561 0.628 0.955
0.599 0.366 0.966
0.871 0.197 0.979
0.508 0.134 0.993
```